Model P:
VASP calculation (PBE-GGA) on a relaxed structure of MgSc2Se4.

Cell and atoms, written as extended XYZ:
```
28
Lattice="8.1695 0.0000 0.0000 0.0000 7.7183 0.0000 0.0000 0.0000 11.3196" Properties=species:S:1:pos:R:3 pbc="T T T"
Mg 1.3993 1.9296 1.1617
Mg 2.6855 5.7887 6.8215
Mg 5.4840 1.9296 4.4981
Mg 6.7702 5.7887 10.1579
Sc 0.0060 5.7887 2.3362
Sc 0.5104 1.9296 5.5441
Sc 3.5743 5.7887 11.2039
Sc 4.0787 1.9296 7.9960
Sc 4.0908 5.7887 3.3236
Sc 4.5951 1.9296 0.1157
Sc 7.6591 5.7887 5.7755
Sc 8.1634 1.9296 8.9833
Se 0.8015 4.0420 7.4537
Se 0.8015 7.5354 7.4537
Se 0.9386 5.7887 11.1967
Se 1.7511 5.7887 4.3273
Se 2.3337 1.9296 9.9871
Se 3.1461 1.9296 5.5369
Se 3.2832 0.1828 1.7939
Se 3.2832 3.6763 1.7939
Se 4.8863 4.0420 9.5257
Se 4.8863 7.5354 9.5257
Se 5.0233 5.7887 5.7827
Se 5.8358 5.7887 1.3324
Se 6.4184 1.9296 6.9922
Se 7.2309 1.9296 0.1229
Se 7.3679 0.1828 3.8659
Se 7.3679 3.6763 3.8659
```

## Properties
Total moment ... 0.00 μB/f.u.
Crystal system ... orthorhombic

Model Q:
VASP calculation (PBE-GGA) on a relaxed structure of MgSc2Se4.

Cell and atoms, written as extended XYZ:
```
14
Lattice="-4.1983 4.1983 4.2933 4.1983 -4.1983 4.2933 4.1983 4.1983 -4.2933" Properties=species:S:1:pos:R:3 pbc="T T T"
Mg 0.0000 0.0000 0.0000
Mg 0.0000 4.1983 2.1466
Sc 2.0991 -1.1130 3.2199
Sc 3.0853 2.0991 1.0733
Sc 2.0991 5.3113 -1.0733
Sc 1.1130 2.0991 5.3666
Se 2.5460 -0.5069 0.6289
Se 3.6914 2.5460 -1.5178
Se 5.8506 0.5069 0.6289
Se 4.7052 -1.6523 3.6644
Se 0.5069 1.6523 2.7755
Se 1.6523 -0.5069 5.8110
Se 3.6914 1.6523 3.6644
Se 2.5460 4.7052 1.5178
```

## Properties
Total moment ... 0.00 μB/f.u.
Crystal system ... tetragonal

Short version: model Q is the most stable of them.

Model P:
VASP calculation (PBE-GGA) on a relaxed structure of MgSc2Se4.

Cell and atoms, written as extended XYZ:
```
28
Lattice="13.4804 0.0000 0.0000 0.0000 7.8333 0.0000 0.0000 0.0000 6.6195" Properties=species:S:1:pos:R:3 pbc="T T T"
Mg 1.2525 1.9583 0.5576
Mg 5.4877 5.8749 3.8674
Mg 7.9927 1.9583 2.7522
Mg 12.2279 5.8749 6.0619
Sc 0.0000 0.0000 3.3098
Sc 0.0000 3.9166 3.3098
Sc 3.2185 5.8749 6.5610
Sc 3.5217 1.9583 3.2512
Sc 6.7402 0.0000 0.0000
Sc 6.7402 3.9166 0.0000
Sc 9.9588 5.8749 3.3683
Sc 10.2619 1.9583 0.0585
Se 1.0671 5.8749 4.9174
Se 1.2089 1.9583 4.6544
Se 2.3035 3.9575 1.7870
Se 2.3035 7.7923 1.7870
Se 4.4367 0.0409 5.0968
Se 4.4367 3.8757 5.0968
Se 5.5313 5.8749 1.3447
Se 5.6731 1.9583 1.6076
Se 7.8073 5.8749 5.0119
Se 7.9491 1.9583 5.2749
Se 9.0437 3.9575 1.5228
Se 9.0437 7.7923 1.5228
Se 11.1769 0.0409 4.8325
Se 11.1769 3.8757 4.8325
Se 12.2715 5.8749 1.9651
Se 12.4133 1.9583 1.7021
```

## Properties
Total moment ... 0.00 μB/f.u.
Crystal system ... orthorhombic

Model Q:
VASP calculation (PBE-GGA) on a relaxed structure of MgSc2Se4.

Cell and atoms, written as extended XYZ:
```
56
Lattice="12.7378 0.0000 0.0000 0.0000 7.5687 0.0000 0.0000 0.0000 13.0825" Properties=species:S:1:pos:R:3 pbc="T T T"
Mg 1.3928 0.9097 0.0000
Mg 1.6009 4.7052 4.7615
Mg 4.7681 4.7052 11.3027
Mg 4.9761 0.9097 6.5412
Mg 7.7617 6.6590 0.0000
Mg 7.9698 2.8635 4.7615
Mg 11.1370 2.8635 11.3027
Mg 11.3450 6.6590 6.5412
Sc 1.3647 4.6860 13.0822
Sc 1.6362 0.9081 4.7147
Sc 1.6807 2.8061 9.1225
Sc 1.6923 6.5969 9.1521
Sc 4.6766 6.5969 2.6109
Sc 4.6882 2.8061 2.5813
Sc 4.7327 0.9081 11.2559
Sc 5.0042 4.6860 6.5410
Sc 7.7336 2.8827 13.0822
Sc 8.0051 6.6605 4.7147
Sc 8.0496 4.7625 9.1225
Sc 8.0613 0.9718 9.1521
Sc 11.0455 0.9718 2.6109
Sc 11.0571 4.7625 2.5813
Sc 11.1017 6.6605 11.2559
Sc 11.3731 2.8827 6.5410
Se 0.2086 4.7574 10.6199
Se 0.2327 0.9145 10.6478
Se 0.4863 4.7133 7.2589
Se 0.4983 0.9880 7.2603
Se 2.7564 0.9174 2.2805
Se 2.7483 4.6952 2.3013
Se 2.9186 2.8136 11.8503
Se 2.9425 6.5807 11.8724
Se 3.4264 6.5807 5.3312
Se 3.4503 2.8136 5.3091
Se 3.6125 0.9174 8.8217
Se 3.6206 4.6952 8.8426
Se 5.8706 0.9880 0.7191
Se 5.8826 4.7133 0.7176
Se 6.1363 0.9145 4.1066
Se 6.1604 4.7574 4.0786
Se 6.5775 2.8113 10.6199
Se 6.6016 6.6542 10.6478
Se 6.8552 2.8553 7.2589
Se 6.8673 6.5807 7.2603
Se 9.1172 2.8735 2.3013
Se 9.1253 6.6512 2.2805
Se 9.2876 4.7551 11.8503
Se 9.3115 0.9880 11.8724
Se 9.7953 0.9880 5.3312
Se 9.8192 4.7551 5.3091
Se 9.9895 2.8735 8.8426
Se 9.9814 6.6512 8.8217
Se 12.2395 6.5807 0.7191
Se 12.2515 2.8553 0.7176
Se 12.5052 6.6542 4.1066
Se 12.5293 2.8113 4.0786
```

## Properties
Total moment ... 0.00 μB/f.u.
Crystal system ... orthorhombic

Short version: model P is the most stable of them.

Model P:
VASP calculation (PBE-GGA) on a relaxed structure of MgSc2Se4.

Cell and atoms, written as extended XYZ:
```
14
Lattice="0.0000 5.6127 5.6127 5.6127 0.0000 5.6127 5.6127 5.6127 0.0000" Properties=species:S:1:pos:R:3 pbc="T T T"
Mg 1.4032 1.4032 1.4032
Mg 9.8222 9.8222 9.8222
Sc 5.6127 2.8063 2.8063
Sc 2.8063 5.6127 2.8063
Sc 2.8063 2.8063 5.6127
Sc 5.6127 5.6127 5.6127
Se 2.8945 2.8945 2.8945
Se 5.5245 5.5245 2.8945
Se 5.5245 2.8945 5.5245
Se 8.3308 5.7009 5.7009
Se 2.8945 5.5245 5.5245
Se 5.7009 8.3308 5.7009
Se 5.7009 5.7009 8.3308
Se 8.3308 8.3308 8.3308
```

## Properties
Crystal system ... cubic

Model Q:
VASP calculation (PBE-GGA) on a relaxed structure of MgSc2Se4.

Cell and atoms, written as extended XYZ:
```
28
Lattice="7.1349 0.0000 0.0000 -0.0083 8.2730 0.0000 -1.2038 -2.0593 13.3115" Properties=species:S:1:pos:R:3 pbc="T T T"
Mg 0.5858 1.0336 3.9637
Mg 1.7737 3.1013 0.0201
Mg 4.1492 3.1124 13.2914
Mg 5.3371 5.1801 9.3478
Sc 0.6133 5.1767 3.9814
Sc 0.5133 5.1911 13.3092
Sc 1.7774 3.1350 9.3432
Sc 1.7884 -1.0501 9.3209
Sc 4.1345 7.2638 3.9906
Sc 4.1455 3.0787 3.9683
Sc 5.4096 1.0226 0.0023
Sc 5.3096 1.0370 9.3301
Se 0.5935 1.0211 1.3985
Se 0.6003 5.1906 1.4398
Se 0.5850 1.0407 8.3417
Se 0.5923 5.1768 8.3200
Se 1.7782 3.1077 4.9725
Se 1.7710 7.2385 4.9921
Se 1.7441 3.1299 11.8883
Se 1.7914 -1.0555 11.8794
Se 4.1315 7.2693 1.4321
Se 4.1788 3.0838 1.4232
Se 4.1519 -1.0248 8.3194
Se 4.1447 3.1060 8.3390
Se 5.3306 1.0369 4.9915
Se 5.3379 5.1730 4.9699
Se 5.3226 1.0231 11.8718
Se 5.3294 5.1926 11.9130
```

## Properties
Total moment ... 0.00 μB/f.u.
Crystal system ... triclinic

Model R:
VASP calculation (PBE-GGA) on a relaxed structure of MgSc2Se4.

Cell and atoms, written as extended XYZ:
```
28
Lattice="12.6614 0.0000 0.0000 0.0000 3.8080 0.0000 0.0000 0.0000 13.2926" Properties=species:S:1:pos:R:3 pbc="T T T"
Mg 1.6032 0.9520 1.0201
Mg 4.7274 2.8560 7.6665
Mg 7.9339 0.9520 5.6262
Mg 11.0581 2.8560 12.2725
Sc 1.3796 2.8560 5.5790
Sc 1.8619 2.8560 10.5962
Sc 4.4688 0.9520 3.9498
Sc 4.9511 0.9520 12.2253
Sc 7.7103 2.8560 1.0673
Sc 8.1925 2.8560 9.3428
Sc 10.7995 0.9520 2.6965
Sc 11.2817 0.9520 7.7136
Se 0.3353 0.9520 11.8055
Se 0.4378 2.8560 8.2387
Se 2.7235 2.8560 3.1865
Se 3.1362 0.9520 6.3396
Se 3.1944 2.8560 12.9859
Se 3.6072 0.9520 9.8328
Se 5.8929 0.9520 1.5924
Se 5.9954 2.8560 5.1592
Se 6.6659 0.9520 8.1335
Se 6.7685 2.8560 11.7002
Se 9.0542 2.8560 3.4598
Se 9.4669 0.9520 0.3067
Se 9.5251 2.8560 6.9530
Se 9.9379 0.9520 10.1061
Se 12.2236 0.9520 5.0539
Se 12.3261 2.8560 1.4871
```

## Properties
Total moment ... 0.00 μB/f.u.
Crystal system ... orthorhombic

Short version: model P is the most stable of them.

Model P:
VASP calculation (PBE-GGA) on a relaxed structure of TbMgSe3.

Cell and atoms, written as extended XYZ:
```
30
Lattice="6.9299 0.0000 0.0000 -3.4649 6.0015 0.0000 0.0000 0.0000 19.2918" Properties=species:S:1:pos:R:3 pbc="T T T"
Tb 0.0000 0.0000 6.7060
Tb 0.0000 0.0000 12.5859
Tb 3.4650 2.0005 13.1366
Tb 3.4650 2.0005 19.0165
Tb 0.0000 4.0010 0.2754
Tb 0.0000 4.0010 6.1553
Mg 0.0000 0.0000 3.1084
Mg 0.0000 0.0000 16.1835
Mg 3.4650 2.0005 9.5390
Mg 3.4650 2.0005 3.3222
Mg 0.0000 4.0010 15.9696
Mg 0.0000 4.0010 9.7529
Se 5.6385 2.1615 11.2552
Se -2.1735 3.8399 8.0366
Se 2.2387 3.8023 11.2552
Se 1.2262 2.1992 8.0366
Se 2.5177 0.0376 11.2552
Se 0.9473 5.9638 8.0366
Se 2.1735 4.1620 17.6858
Se 1.2914 5.8404 14.4672
Se -1.2262 5.8028 17.6858
Se -2.2387 4.1997 14.4672
Se -0.9473 2.0381 17.6858
Se 0.9473 1.9629 14.4672
Se 2.1735 0.1611 4.8246
Se 1.2914 1.8394 1.6060
Se 5.7036 1.8018 4.8246
Se 4.6912 0.1987 1.6060
Se 2.5177 4.0386 4.8246
Se 4.4122 3.9633 1.6060
```

## Properties
Total moment ... 0.44 μB/f.u.

Model Q:
VASP calculation (PBE-GGA) on a relaxed structure of TbMgSe3.

Cell and atoms, written as extended XYZ:
```
20
Lattice="-0.4669 -7.8803 -3.0804 11.1447 -2.1280 3.7544 -1.6593 3.1267 6.6977" Properties=species:S:1:pos:R:3 pbc="T T T"
Tb -0.7641 -6.9997 -1.6991
Tb -1.3621 2.2462 5.3164
Tb 5.0417 -4.1235 1.7183
Tb 3.9768 -2.7580 5.6534
Mg 3.6540 -0.6977 1.2309
Mg 7.4908 -1.4303 2.5235
Mg 8.9929 -5.7018 1.5679
Mg 1.6849 -4.3064 -0.8940
Se 1.2115 -1.6314 1.3533
Se 7.8070 -5.2501 6.0183
Se 0.1041 -3.7793 3.4234
Se 8.9145 -3.1022 3.9482
Se 6.5504 -6.6355 1.6903
Se 2.4681 -0.2460 5.6814
Se 5.9099 -0.9031 6.8408
Se 3.1087 -5.9784 0.5308
Se -1.2955 -0.1313 3.7712
Se -0.8307 -4.6222 -0.1540
Se 4.0434 -5.1355 4.1082
Se 4.9751 -1.7460 3.2635
```

## Properties
Total moment ... 0.00 μB/f.u.

Model R:
VASP calculation (PBE-GGA) on a relaxed structure of TbMgSe3.

Cell and atoms, written as extended XYZ:
```
10
Lattice="3.7486 -6.3238 0.0000 3.7486 6.3238 0.0000 -3.1656 0.0000 6.1132" Properties=species:S:1:pos:R:3 pbc="T T T"
Tb 0.4759 0.0000 1.9193
Tb 3.8557 0.0000 4.1939
Mg 3.7486 2.0920 0.0000
Mg 3.7486 -2.0920 0.0000
Se 2.6567 4.1562 1.3206
Se 1.6749 4.1562 4.7926
Se 1.1420 0.0000 4.5588
Se 3.1896 0.0000 1.5544
Se 2.6567 -4.1562 1.3206
Se 1.6749 -4.1562 4.7926
```

## Properties
Total moment ... 0.00 μB/f.u.
Crystal system ... monoclinic

Short version: model P is the most stable of them.

Model P:
VASP calculation (PBE-GGA) on a relaxed structure of Tb2MgSe4.

Cell and atoms, written as extended XYZ:
```
28
Lattice="14.2382 0.0000 0.0000 0.0000 8.3026 0.0000 0.0000 0.0000 6.8625" Properties=species:S:1:pos:R:3 pbc="T T T"
Tb 0.0000 0.0000 0.0000
Tb 0.0000 4.1513 0.0000
Tb 3.3370 2.0756 3.4104
Tb 3.7822 6.2269 6.8416
Tb 7.1191 0.0000 3.4313
Tb 7.1191 4.1513 3.4313
Tb 10.4561 2.0756 0.0209
Tb 10.9013 6.2269 3.4522
Mg 1.3156 6.2269 3.9896
Mg 5.8035 2.0756 0.5583
Mg 8.4347 6.2269 6.3042
Mg 12.9226 2.0756 2.8729
Se 1.0313 2.0756 1.7177
Se 1.3087 6.2269 1.4539
Se 2.4092 4.2074 5.2062
Se 2.4092 8.2465 5.2062
Se 4.7099 0.0561 1.7750
Se 4.7099 4.0952 1.7750
Se 5.8104 2.0756 4.8851
Se 6.0878 6.2269 5.1490
Se 8.1504 2.0756 1.7135
Se 8.4278 6.2269 1.9774
Se 9.5283 4.2074 5.0876
Se 9.5283 8.2465 5.0876
Se 11.8290 0.0561 1.6563
Se 11.8290 4.0952 1.6563
Se 12.9295 2.0756 5.4087
Se 13.2069 6.2269 5.1448
```

## Properties
Crystal system ... orthorhombic

Model Q:
VASP calculation (PBE-GGA) on a relaxed structure of Tb2MgSe4.

Cell and atoms, written as extended XYZ:
```
14
Lattice="0.0000 5.8708 5.8708 5.8708 0.0000 5.8708 5.8708 5.8708 0.0000" Properties=species:S:1:pos:R:3 pbc="T T T"
Tb 0.0000 0.0000 0.0000
Tb 2.9354 2.9354 0.0000
Tb 2.9354 0.0000 2.9354
Tb 0.0000 2.9354 2.9354
Mg 4.4031 4.4031 4.4031
Mg 7.3385 7.3385 7.3385
Se 8.8553 5.8217 5.8217
Se 2.8863 2.8863 2.8863
Se 5.9199 5.9199 2.8863
Se 5.9199 2.8863 5.9199
Se 5.8217 8.8553 5.8217
Se 5.8217 5.8217 8.8553
Se 8.8553 8.8553 8.8553
Se 2.8863 5.9199 5.9199
```

## Properties
Crystal system ... cubic

Short version: model Q is the most stable of them.